Crystalline GdFeO3 at its relaxed geometry, computed with meta-GGA r2SCAN.

Its total energy is -17.8630 eV/atom. As for the magnetization: 2.400 μB/atom. The value obtained for the energy of formation from the pure elements is -2.717 eV/atom.

The space group is Pnma (No. 62) and the conventional cell measures 5.642, 7.682 and 5.358 Å, with angles of 90.00, 90.00 and 90.00 degrees. The asymmetric unit holds Gd at (0.066, 0.250, 0.017), Fe at (0.000, 0.000, 0.500), O at (0.036, 0.750, 0.394) and O at (0.196, 0.555, 0.806).